{
  "formula": "TaH20C6N3Cl4",
  "functional": "PBE-GGA",
  "state": "relaxed",
  "lattice_angstrom": [[18.4708, 0.0000, 0.0000], [0.0000, 8.8841, 0.0000], [0.0000, 5.8993, 9.9984]],
  "species": ["Ta", "Ta", "Ta", "Ta", "H", "H", "H", "H", "H", "H", "H", "H", "H", "H", "H", "H", "H", "H", "H", "H", "H", "H", "H", "H", "H", "H", "H", "H", "H", "H", "H", "H", "H", "H", "H", "H", "H", "H", "H", "H", "H", "H", "H", "H", "H", "H", "H", "H", "H", "H", "H", "H", "H", "H", "H", "H", "H", "H", "H", "H", "H", "H", "H", "H", "H", "H", "H", "H", "H", "H", "H", "H", "H", "H", "H", "H", "H", "H", "H", "H", "H", "H", "H", "H", "C", "C", "C", "C", "C", "C", "C", "C", "C", "C", "C", "C", "C", "C", "C", "C", "C", "C", "C", "C", "C", "C", "C", "C", "N", "N", "N", "N", "N", "N", "N", "N", "N", "N", "N", "N", "Cl", "Cl", "Cl", "Cl", "Cl", "Cl", "Cl", "Cl", "Cl", "Cl", "Cl", "Cl", "Cl", "Cl", "Cl", "Cl"],
  "fractional_positions": [[0.6225, 0.9536, 0.2818], [0.1225, 0.0464, 0.2182], [0.3775, 0.0464, 0.7182], [0.8775, 0.9536, 0.7818], [0.3248, 0.7572, 0.5754], [0.5794, 0.2143, 0.4442], [0.8091, 0.9522, 0.0951], [0.8170, 0.8260, 0.3357], [0.5166, 0.2309, 0.8183], [0.9094, 0.4938, 0.3630], [0.5027, 0.5683, 0.1061], [0.9290, 0.1831, 0.4447], [0.6752, 0.2428, 0.4246], [0.0027, 0.4317, 0.3939], [0.7157, 0.6955, 0.0019], [0.4094, 0.5062, 0.1370], [0.4031, 0.1051, 0.3853], [0.1192, 0.7017, 0.2176], [0.1602, 0.2249, 0.9243], [0.6553, 0.5922, 0.3163], [0.9973, 0.5683, 0.6061], [0.8447, 0.5922, 0.8163], [0.7492, 0.6137, 0.7926], [0.0906, 0.5062, 0.6370], [0.8264, 0.3176, 0.3008], [0.2314, 0.0747, 0.5875], [0.8667, 0.1525, 0.2762], [0.2149, 0.4936, 0.0424], [0.1752, 0.7572, 0.0754], [0.0969, 0.1051, 0.8853], [0.9685, 0.5413, 0.2254], [0.6333, 0.1525, 0.7762], [0.2508, 0.3863, 0.2074], [0.1736, 0.6824, 0.6992], [0.9206, 0.2143, 0.9442], [0.6155, 0.3787, 0.6589], [0.0710, 0.8169, 0.5553], [0.7843, 0.6955, 0.5019], [0.0315, 0.4587, 0.7746], [0.3845, 0.6213, 0.3411], [0.2157, 0.3045, 0.4981], [0.3667, 0.8475, 0.2238], [0.7314, 0.9253, 0.9125], [0.5315, 0.5413, 0.7254], [0.5906, 0.4938, 0.8630], [0.3447, 0.4078, 0.6837], [0.5969, 0.8949, 0.6147], [0.4685, 0.4587, 0.2746], [0.6192, 0.2983, 0.2824], [0.8845, 0.3787, 0.1589], [0.2492, 0.3863, 0.7074], [0.3264, 0.6824, 0.1992], [0.6602, 0.7751, 0.5757], [0.3398, 0.2249, 0.4243], [0.1830, 0.1740, 0.6643], [0.3170, 0.1740, 0.1643], [0.6909, 0.9522, 0.5951], [0.8398, 0.7751, 0.0757], [0.4206, 0.7857, 0.5558], [0.4290, 0.8169, 0.0553], [0.0166, 0.7691, 0.6817], [0.1333, 0.8475, 0.7238], [0.1909, 0.0478, 0.9049], [0.1553, 0.4078, 0.1837], [0.9031, 0.8949, 0.1147], [0.2851, 0.4936, 0.5424], [0.3091, 0.0478, 0.4049], [0.2843, 0.3045, 0.9981], [0.2686, 0.0747, 0.0875], [0.0794, 0.7857, 0.0558], [0.7149, 0.5064, 0.4576], [0.1155, 0.6213, 0.8411], [0.7851, 0.5064, 0.9576], [0.4834, 0.7691, 0.1817], [0.6736, 0.3176, 0.8008], [0.8248, 0.2428, 0.9246], [0.7686, 0.9253, 0.4125], [0.4973, 0.4317, 0.8939], [0.7508, 0.6137, 0.2926], [0.3808, 0.7017, 0.7176], [0.6830, 0.8260, 0.8357], [0.9834, 0.2309, 0.3183], [0.8808, 0.2983, 0.7824], [0.5710, 0.1831, 0.9447], [0.7714, 0.8092, 0.4029], [0.7286, 0.8092, 0.9029], [0.6265, 0.2058, 0.3893], [0.4560, 0.5515, 0.1695], [0.2944, 0.3849, 0.6455], [0.3735, 0.7942, 0.6107], [0.0440, 0.5515, 0.6695], [0.1257, 0.7181, 0.7359], [0.2056, 0.3849, 0.1455], [0.1265, 0.7942, 0.1107], [0.8735, 0.2058, 0.8893], [0.2286, 0.1908, 0.5971], [0.1465, 0.0947, 0.9423], [0.9560, 0.4485, 0.3305], [0.3743, 0.7181, 0.2359], [0.8743, 0.2819, 0.2641], [0.7056, 0.6151, 0.3545], [0.2714, 0.1908, 0.0971], [0.3535, 0.0947, 0.4423], [0.8535, 0.9053, 0.0577], [0.7944, 0.6151, 0.8545], [0.6465, 0.9053, 0.5577], [0.5440, 0.4485, 0.8305], [0.6257, 0.2819, 0.7641], [0.9381, 0.2762, 0.3447], [0.3651, 0.9723, 0.5850], [0.7964, 0.7811, 0.8516], [0.6349, 0.0277, 0.4150], [0.4381, 0.7238, 0.1553], [0.7036, 0.7811, 0.3516], [0.8651, 0.0277, 0.9150], [0.5619, 0.2762, 0.8447], [0.2036, 0.2189, 0.1484], [0.0619, 0.7238, 0.6553], [0.2964, 0.2189, 0.6484], [0.1349, 0.9723, 0.0850], [0.8982, 0.8844, 0.5963], [0.9620, 0.7189, 0.9134], [0.9865, 0.1429, 0.6849], [0.1018, 0.1156, 0.4037], [0.6018, 0.8844, 0.0963], [0.5380, 0.7189, 0.4134], [0.8052, 0.1960, 0.6184], [0.6948, 0.1960, 0.1184], [0.4620, 0.2811, 0.5866], [0.1948, 0.8040, 0.3816], [0.3982, 0.1156, 0.9037], [0.0380, 0.2811, 0.0866], [0.4865, 0.8571, 0.8151], [0.3052, 0.8040, 0.8816], [0.5135, 0.1429, 0.1849], [0.0135, 0.8571, 0.3151]],
  "volume_a3_per_atom": 12.1,
  "e_tot_ry_per_atom": -0.3893,
  "magmom_total_mub_per_cell": 0.00
}


{
  "formula": "TaH24C8N4Cl",
  "functional": "PBE-GGA",
  "state": "relaxed",
  "lattice_angstrom": [[9.0801, 0.0000, 0.0000], [0.0000, 12.5776, 0.0000], [-5.8769, 0.0000, 14.9727]],
  "species": ["Ta", "Ta", "Ta", "Ta", "H", "H", "H", "H", "H", "H", "H", "H", "H", "H", "H", "H", "H", "H", "H", "H", "H", "H", "H", "H", "H", "H", "H", "H", "H", "H", "H", "H", "H", "H", "H", "H", "H", "H", "H", "H", "H", "H", "H", "H", "H", "H", "H", "H", "H", "H", "H", "H", "H", "H", "H", "H", "H", "H", "H", "H", "H", "H", "H", "H", "H", "H", "H", "H", "H", "H", "H", "H", "H", "H", "H", "H", "H", "H", "H", "H", "H", "H", "H", "H", "H", "H", "H", "H", "H", "H", "H", "H", "H", "H", "H", "H", "H", "H", "H", "H", "C", "C", "C", "C", "C", "C", "C", "C", "C", "C", "C", "C", "C", "C", "C", "C", "C", "C", "C", "C", "C", "C", "C", "C", "C", "C", "C", "C", "C", "C", "C", "C", "N", "N", "N", "N", "N", "N", "N", "N", "N", "N", "N", "N", "N", "N", "N", "N", "Cl", "Cl", "Cl", "Cl"],
  "fractional_positions": [[0.8057, 0.2837, 0.6208], [0.8057, 0.2163, 0.1208], [0.1943, 0.7163, 0.3792], [0.1943, 0.7837, 0.8792], [0.5862, 0.3087, 0.7850], [0.5862, 0.1913, 0.2850], [0.4138, 0.6913, 0.2150], [0.4138, 0.8087, 0.7150], [0.5404, 0.3679, 0.6771], [0.5404, 0.1321, 0.1771], [0.4596, 0.6321, 0.3229], [0.4596, 0.8679, 0.8229], [0.6683, 0.4344, 0.7746], [0.6683, 0.0656, 0.2746], [0.3317, 0.5656, 0.2254], [0.3317, 0.9344, 0.7254], [0.9290, 0.3524, 0.8610], [0.9290, 0.1476, 0.3610], [0.0710, 0.6476, 0.1390], [0.0710, 0.8524, 0.6390], [0.9887, 0.2351, 0.8184], [0.9887, 0.2649, 0.3184], [0.0113, 0.7649, 0.1816], [0.0113, 0.7351, 0.6816], [0.8329, 0.2291, 0.8610], [0.8329, 0.2709, 0.3610], [0.1671, 0.7709, 0.1390], [0.1671, 0.7291, 0.6390], [0.2024, 0.3651, 0.6183], [0.2024, 0.1349, 0.1183], [0.7976, 0.6349, 0.3817], [0.7976, 0.8651, 0.8817], [0.0198, 0.3793, 0.5276], [0.0198, 0.1207, 0.0276], [0.9802, 0.6207, 0.4724], [0.9802, 0.8793, 0.9724], [0.1460, 0.2691, 0.5308], [0.1460, 0.2309, 0.0308], [0.8540, 0.7309, 0.4692], [0.8540, 0.7691, 0.9692], [0.1620, 0.1198, 0.6232], [0.1620, 0.3802, 0.1232], [0.8380, 0.8802, 0.3768], [0.8380, 0.6198, 0.8768], [0.0841, 0.1262, 0.7105], [0.0841, 0.3738, 0.2105], [0.9159, 0.8738, 0.2895], [0.9159, 0.6262, 0.7895], [0.2453, 0.2091, 0.7136], [0.2453, 0.2909, 0.2136], [0.7547, 0.7909, 0.2864], [0.7547, 0.7091, 0.7864], [0.5731, 0.3660, 0.3724], [0.5731, 0.1340, 0.8724], [0.4269, 0.6340, 0.6276], [0.4269, 0.8660, 0.1276], [0.7291, 0.4395, 0.4533], [0.7291, 0.0605, 0.9533], [0.2709, 0.5605, 0.5467], [0.2709, 0.9395, 0.0467], [0.5279, 0.4622, 0.4400], [0.5279, 0.0378, 0.9400], [0.4721, 0.5378, 0.5600], [0.4721, 0.9622, 0.0600], [0.3754, 0.3134, 0.4616], [0.3754, 0.1866, 0.9616], [0.6246, 0.6866, 0.5384], [0.6246, 0.8134, 0.0384], [0.4727, 0.1990, 0.5236], [0.4727, 0.3010, 0.0236], [0.5273, 0.8010, 0.4764], [0.5273, 0.6990, 0.9764], [0.4584, 0.2174, 0.4106], [0.4584, 0.2826, 0.9106], [0.5416, 0.7826, 0.5894], [0.5416, 0.7174, 0.0894], [0.8506, 0.9877, 0.5792], [0.8506, 0.5123, 0.0792], [0.1494, 0.0123, 0.4208], [0.1494, 0.4877, 0.9208], [0.8268, 0.1004, 0.5074], [0.8268, 0.3996, 0.0074], [0.1732, 0.8996, 0.4926], [0.1732, 0.6004, 0.9926], [0.6589, 0.0245, 0.5052], [0.6589, 0.4755, 0.0052], [0.3411, 0.9755, 0.4948], [0.3411, 0.5245, 0.9948], [0.5854, 0.0210, 0.6336], [0.5854, 0.4790, 0.1336], [0.4146, 0.9790, 0.3664], [0.4146, 0.5210, 0.8664], [0.6739, 0.1114, 0.7241], [0.6739, 0.3886, 0.2241], [0.3261, 0.8886, 0.2759], [0.3261, 0.6114, 0.7759], [0.7822, 0.9990, 0.7090], [0.7822, 0.5010, 0.2090], [0.2178, 0.0010, 0.2910], [0.2178, 0.4990, 0.7910], [0.6343, 0.3557, 0.7427], [0.6343, 0.1443, 0.2427], [0.3657, 0.6443, 0.2573], [0.3657, 0.8557, 0.7573], [0.8863, 0.2783, 0.8227], [0.8863, 0.2217, 0.3227], [0.1137, 0.7217, 0.1773], [0.1137, 0.7783, 0.6773], [0.1000, 0.3210, 0.5714], [0.1000, 0.1790, 0.0714], [0.9000, 0.6790, 0.4286], [0.9000, 0.8210, 0.9286], [0.1322, 0.1737, 0.6694], [0.1322, 0.3263, 0.1694], [0.8678, 0.8263, 0.3306], [0.8678, 0.6737, 0.8306], [0.6151, 0.4006, 0.4403], [0.6151, 0.0994, 0.9403], [0.3849, 0.5994, 0.5597], [0.3849, 0.9006, 0.0597], [0.4762, 0.2583, 0.4746], [0.4762, 0.2417, 0.9746], [0.5238, 0.7417, 0.5254], [0.5238, 0.7583, 0.0254], [0.7746, 0.0569, 0.5490], [0.7746, 0.4431, 0.0490], [0.2254, 0.9431, 0.4510], [0.2254, 0.5569, 0.9510], [0.6966, 0.0617, 0.6741], [0.6966, 0.4383, 0.1741], [0.3034, 0.9383, 0.3259], [0.3034, 0.5617, 0.8259], [0.7703, 0.3020, 0.7348], [0.7703, 0.1980, 0.2348], [0.2297, 0.6980, 0.2652], [0.2297, 0.8020, 0.7652], [0.0236, 0.2569, 0.6198], [0.0236, 0.2431, 0.1198], [0.9764, 0.7431, 0.3802], [0.9764, 0.7569, 0.8802], [0.6253, 0.3174, 0.5057], [0.6253, 0.1826, 0.0057], [0.3747, 0.6826, 0.4943], [0.3747, 0.8174, 0.9943], [0.7564, 0.1255, 0.6177], [0.7564, 0.3745, 0.1177], [0.2436, 0.8745, 0.3823], [0.2436, 0.6255, 0.8823], [0.8695, 0.4776, 0.6269], [0.8695, 0.0224, 0.1269], [0.1305, 0.5224, 0.3731], [0.1305, 0.9776, 0.8731]],
  "volume_a3_per_atom": 11.2,
  "e_tot_ry_per_atom": -0.4065,
  "magmom_total_mub_per_cell": 0.09
}


{
  "formula": "TiH16C4N2Cl6",
  "functional": "PBE-GGA",
  "state": "relaxed",
  "lattice_angstrom": [[7.7580, 0.0000, 0.0000], [0.0000, 14.5531, 0.0000], [0.0000, 0.0000, 7.1122]],
  "species": ["Ti", "Ti", "H", "H", "H", "H", "H", "H", "H", "H", "H", "H", "H", "H", "H", "H", "H", "H", "H", "H", "H", "H", "H", "H", "H", "H", "H", "H", "H", "H", "H", "H", "H", "H", "C", "C", "C", "C", "C", "C", "C", "C", "N", "N", "N", "N", "Cl", "Cl", "Cl", "Cl", "Cl", "Cl", "Cl", "Cl", "Cl", "Cl", "Cl", "Cl"],
  "fractional_positions": [[0.0000, 0.0000, 0.0000], [0.5000, 0.5000, 0.5000], [0.1446, 0.0928, 0.6164], [0.8554, 0.9072, 0.6164], [0.6446, 0.4072, 0.8836], [0.3554, 0.5928, 0.8836], [0.8554, 0.9072, 0.3836], [0.1446, 0.0928, 0.3836], [0.3554, 0.5928, 0.1164], [0.6446, 0.4072, 0.1164], [0.4137, 0.1749, 0.6264], [0.5863, 0.8251, 0.6264], [0.9137, 0.3251, 0.8736], [0.0863, 0.6749, 0.8736], [0.5863, 0.8251, 0.3736], [0.4137, 0.1749, 0.3736], [0.0863, 0.6749, 0.1264], [0.9137, 0.3251, 0.1264], [0.4323, 0.0686, 0.5000], [0.5677, 0.9314, 0.5000], [0.9323, 0.4314, 0.0000], [0.0677, 0.5686, 0.0000], [0.9616, 0.2156, 0.5000], [0.0384, 0.7844, 0.5000], [0.4616, 0.2844, 0.0000], [0.5384, 0.7156, 0.0000], [0.1460, 0.2596, 0.6256], [0.8540, 0.7404, 0.6256], [0.6460, 0.2404, 0.8744], [0.3540, 0.7596, 0.8744], [0.8540, 0.7404, 0.3744], [0.1460, 0.2596, 0.3744], [0.3540, 0.7596, 0.1256], [0.6460, 0.2404, 0.1256], [0.3755, 0.1372, 0.5000], [0.6245, 0.8628, 0.5000], [0.8755, 0.3628, 0.0000], [0.1245, 0.6372, 0.0000], [0.1024, 0.2231, 0.5000], [0.8976, 0.7769, 0.5000], [0.6024, 0.2769, 0.0000], [0.3976, 0.7231, 0.0000], [0.1838, 0.1303, 0.5000], [0.8162, 0.8697, 0.5000], [0.6838, 0.3697, 0.0000], [0.3162, 0.6303, 0.0000], [0.1828, 0.9388, 0.2340], [0.8172, 0.0612, 0.2340], [0.6828, 0.5612, 0.2660], [0.3172, 0.4388, 0.2660], [0.8172, 0.0612, 0.7660], [0.1828, 0.9388, 0.7660], [0.3172, 0.4388, 0.7340], [0.6828, 0.5612, 0.7340], [0.8355, 0.8628, 0.0000], [0.1645, 0.1372, 0.0000], [0.3355, 0.6372, 0.5000], [0.6645, 0.3628, 0.5000]],
  "volume_a3_per_atom": 13.8,
  "e_tot_ry_per_atom": -0.3624,
  "magmom_total_mub_per_cell": 0.05
}


{
  "formula": "VH8C10N3Cl4",
  "functional": "PBE-GGA",
  "state": "relaxed",
  "lattice_angstrom": [[-14.5474, -7.2024, -0.9560], [0.9818, -2.9877, 7.5680], [-3.9062, 6.5127, 10.3738]],
  "species": ["V", "V", "V", "V", "H", "H", "H", "H", "H", "H", "H", "H", "H", "H", "H", "H", "H", "H", "H", "H", "H", "H", "H", "H", "H", "H", "H", "H", "H", "H", "H", "H", "H", "H", "H", "H", "C", "C", "C", "C", "C", "C", "C", "C", "C", "C", "C", "C", "C", "C", "C", "C", "C", "C", "C", "C", "C", "C", "C", "C", "C", "C", "C", "C", "C", "C", "C", "C", "C", "C", "C", "C", "C", "C", "C", "C", "N", "N", "N", "N", "N", "N", "N", "N", "N", "N", "N", "N", "Cl", "Cl", "Cl", "Cl", "Cl", "Cl", "Cl", "Cl", "Cl", "Cl", "Cl", "Cl", "Cl", "Cl", "Cl", "Cl"],
  "fractional_positions": [[0.3327, 0.5011, 0.7604], [0.8327, 0.4989, 0.7396], [0.6673, 0.4989, 0.2396], [0.1673, 0.5011, 0.2604], [0.3163, 0.2961, 0.0549], [0.8163, 0.7039, 0.4451], [0.6837, 0.7039, 0.9451], [0.1837, 0.2961, 0.5549], [0.3352, 0.9693, 0.2397], [0.8352, 0.0307, 0.2603], [0.6648, 0.0307, 0.7603], [0.1648, 0.9693, 0.7397], [0.3889, 0.7047, 0.2115], [0.8889, 0.2953, 0.2885], [0.6111, 0.2953, 0.7885], [0.1111, 0.7047, 0.7115], [0.4215, 0.7797, 0.0031], [0.9215, 0.2203, 0.4969], [0.5785, 0.2203, 0.9969], [0.0785, 0.7797, 0.5031], [0.4588, 0.8690, 0.8279], [0.9588, 0.1310, 0.6721], [0.5412, 0.1310, 0.1721], [0.0412, 0.8690, 0.3279], [0.4859, 0.9866, 0.6112], [0.9859, 0.0134, 0.8888], [0.5141, 0.0134, 0.3888], [0.0141, 0.9866, 0.1112], [0.4407, 0.3228, 0.4494], [0.9407, 0.6772, 0.0506], [0.5593, 0.6772, 0.5506], [0.0593, 0.3228, 0.9494], [0.3763, 0.5258, 0.5194], [0.8763, 0.4742, 0.9806], [0.6237, 0.4742, 0.4806], [0.1237, 0.5258, 0.0194], [0.3399, 0.1784, 0.0470], [0.8399, 0.8216, 0.4530], [0.6601, 0.8216, 0.9530], [0.1601, 0.1784, 0.5470], [0.3861, 0.0786, 0.9174], [0.8861, 0.9214, 0.5826], [0.6139, 0.9214, 0.0826], [0.1139, 0.0786, 0.4174], [0.4027, 0.1346, 0.7904], [0.9027, 0.8654, 0.7096], [0.5973, 0.8654, 0.2096], [0.0973, 0.1346, 0.2904], [0.3947, 0.3788, 0.5847], [0.8947, 0.6212, 0.9153], [0.6053, 0.6212, 0.4153], [0.1053, 0.3788, 0.0847], [0.3510, 0.9959, 0.1495], [0.8510, 0.0041, 0.3505], [0.6490, 0.0041, 0.8505], [0.1490, 0.9959, 0.6495], [0.3808, 0.8506, 0.1341], [0.8808, 0.1494, 0.3659], [0.6192, 0.1494, 0.8659], [0.1192, 0.8506, 0.6341], [0.3991, 0.8924, 0.0167], [0.8991, 0.1076, 0.4833], [0.6009, 0.1076, 0.9833], [0.1009, 0.8924, 0.5167], [0.4406, 0.0138, 0.7582], [0.9406, 0.9862, 0.7418], [0.5594, 0.9862, 0.2418], [0.0594, 0.0138, 0.2582], [0.4555, 0.0802, 0.6359], [0.9555, 0.9198, 0.8641], [0.5445, 0.9198, 0.3641], [0.0445, 0.0802, 0.1359], [0.4314, 0.2653, 0.5468], [0.9314, 0.7347, 0.9532], [0.5686, 0.7347, 0.4532], [0.0686, 0.2653, 0.0468], [0.3230, 0.7003, 0.6231], [0.8230, 0.2997, 0.8769], [0.6770, 0.2997, 0.3769], [0.1770, 0.7003, 0.1231], [0.3566, 0.2189, 0.9333], [0.8566, 0.7811, 0.5667], [0.6434, 0.7811, 0.0667], [0.1434, 0.2189, 0.4333], [0.3813, 0.3163, 0.7031], [0.8813, 0.6837, 0.7969], [0.6187, 0.6837, 0.2969], [0.1187, 0.3163, 0.2031], [0.2868, 0.6238, 0.8719], [0.7868, 0.3762, 0.6281], [0.7132, 0.3762, 0.1281], [0.2132, 0.6238, 0.3719], [0.2089, 0.3600, 0.7629], [0.7089, 0.6400, 0.7371], [0.7911, 0.6400, 0.2371], [0.2911, 0.3600, 0.2629], [0.4712, 0.5518, 0.7804], [0.9712, 0.4482, 0.7196], [0.5288, 0.4482, 0.2196], [0.0288, 0.5518, 0.2804], [0.3212, 0.9015, 0.4945], [0.8212, 0.0985, 0.0055], [0.6788, 0.0985, 0.5055], [0.1788, 0.9015, 0.9945]],
  "volume_a3_per_atom": 14.0,
  "e_tot_ry_per_atom": -0.4682,
  "magmom_total_mub_per_cell": 0.00
}